# 1
Computed, not measured: an optimized crystal structure of K5InMo4O16 at the PBE+U level of DFT.

Unit cell a=9.6875 b=9.6875 c=10.7071 alpha=71.73 beta=71.73 gamma=79.08
With the nearest neighbours (Å) after each atom.
Positions (direct):
K (0.3830, 0.1810, 0.0692)  6 O 2.73-3.02
O (0.5726, 0.3879, 0.9239)  1 Mo 1.77
Mo (0.5333, 0.2635, 0.6609)  4 O 1.77-1.86
O (0.7901, 0.5182, 0.9688)  1 Mo 1.79
O (0.9973, 0.1945, 0.5326)  1 Mo 1.84
O (0.5913, 0.0633, 0.2236)  1 Mo 1.78
O (0.2999, 0.3683, 0.2874)  1 Mo 1.80
K (0.9304, 0.6502, 0.0737)  5 O 2.61-2.90
O (0.1518, 0.7887, 0.9057)  1 Mo 1.75
Mo (0.7804, 0.0452, 0.1360)  4 O 1.75-1.84
Mo (0.7380, 0.4692, 0.8435)  4 O 1.77-1.87
O (0.4055, 0.9411, 0.7829)  1 Mo 1.78
K (0.3893, 0.6089, 0.7502)  8 O 2.93-3.07
O (0.2130, 0.8457, 0.6038)  1 Mo 1.75
Mo (0.2168, 0.9573, 0.8701)  4 O 1.75-1.84
In (0.1152, 0.8850, 0.2512)  6 O 2.17-2.22
K (0.6089, 0.3893, 0.2502)  8 O 2.93-3.07
K (0.6156, 0.8204, 0.9416)  5 O 2.68-3.00
O (0.3356, 0.8766, 0.2660)  1 Mo 1.87
In (0.8850, 0.1152, 0.7512)  6 O 2.17-2.22
K (0.8204, 0.6156, 0.4416)  5 O 2.68-3.00
O (0.6368, 0.7053, 0.2183)  1 Mo 1.80
O (0.5182, 0.7901, 0.4688)  1 Mo 1.79
O (0.6656, 0.1208, 0.7357)  1 Mo 1.86
O (0.0633, 0.5913, 0.7236)  1 Mo 1.78
O (0.0122, 0.8025, 0.4707)  1 Mo 1.84
O (0.1096, 0.1001, 0.7693)  1 Mo 1.84
O (0.8025, 0.0122, 0.9707)  1 Mo 1.84
Mo (0.0452, 0.7804, 0.6360)  4 O 1.75-1.84
O (0.4788, 0.2125, 0.5379)  1 Mo 1.79
O (0.4257, 0.6202, 0.0796)  1 Mo 1.77
O (0.1945, 0.9973, 0.0326)  1 Mo 1.84
Mo (0.9573, 0.2168, 0.3701)  4 O 1.75-1.84
O (0.8457, 0.2130, 0.1038)  1 Mo 1.75
K (0.3356, 0.0758, 0.4352)  4 O 2.60-2.80
O (0.3683, 0.2999, 0.7874)  1 Mo 1.80
O (0.8894, 0.9020, 0.2345)  1 Mo 1.84
O (0.1208, 0.6656, 0.2357)  1 Mo 1.86
K (0.0758, 0.3356, 0.9352)  4 O 2.60-2.80
K (0.6502, 0.9304, 0.5737)  5 O 2.61-2.90
O (0.7887, 0.1518, 0.4057)  1 Mo 1.75
O (0.3879, 0.5726, 0.4239)  1 Mo 1.77
O (0.6202, 0.4257, 0.5796)  1 Mo 1.77
O (0.7053, 0.6368, 0.7183)  1 Mo 1.80
O (0.1001, 0.1096, 0.2693)  1 Mo 1.84
O (0.9020, 0.8894, 0.7345)  1 Mo 1.84
O (0.8766, 0.3356, 0.7660)  1 Mo 1.87
O (0.2125, 0.4788, 0.0379)  1 Mo 1.79
Mo (0.4692, 0.7380, 0.3435)  4 O 1.77-1.87
K (0.1810, 0.3830, 0.5692)  6 O 2.73-3.02
Mo (0.2635, 0.5333, 0.1609)  4 O 1.77-1.86
O (0.9411, 0.4055, 0.2829)  1 Mo 1.78

Results
Energy relative to the elements ... -55.9 eV/f.u.
Crystal system ... monoclinic
Energy with MP2020 corrections ... -373.54 eV for the cell shown

***

# 2
Computed, not measured: an optimized crystal structure of K5InMo4O16 at the PBE+U level of DFT.

Unit cell a=9.6759 b=9.6759 c=10.7281 alpha=71.82 beta=71.82 gamma=79.11
With the nearest neighbours (Å) after each atom.
Positions (direct):
K (0.6574, 0.9242, 0.5721)  4 O 2.62-2.78
K (0.1817, 0.3823, 0.5626)  6 O 2.70-3.01
O (0.1104, 0.0997, 0.7690)  1 Mo 1.84
O (0.1224, 0.6637, 0.2358)  1 Mo 1.86
Mo (0.7377, 0.4694, 0.8402)  4 O 1.78-1.86
Mo (0.0442, 0.7824, 0.6312)  4 O 1.75-1.84
O (0.7893, 0.5211, 0.9642)  1 Mo 1.79
K (0.9242, 0.6574, 0.0721)  4 O 2.62-2.78
O (0.3666, 0.2998, 0.7846)  1 Mo 1.79
O (0.6334, 0.7002, 0.2154)  1 Mo 1.79
O (0.3830, 0.5730, 0.4216)  1 Mo 1.78
O (0.9379, 0.4070, 0.2826)  1 Mo 1.78
O (0.1971, 0.9914, 0.0307)  1 Mo 1.82
O (0.6170, 0.4270, 0.5784)  1 Mo 1.78
O (0.4789, 0.2107, 0.5358)  1 Mo 1.79
O (0.0086, 0.8029, 0.4693)  1 Mo 1.82
O (0.2107, 0.4789, 0.0358)  1 Mo 1.79
Mo (0.9558, 0.2176, 0.3688)  4 O 1.75-1.84
O (0.2998, 0.3666, 0.2846)  1 Mo 1.79
O (0.7002, 0.6334, 0.7154)  1 Mo 1.79
O (0.7874, 0.1516, 0.4035)  1 Mo 1.75
Mo (0.4694, 0.7377, 0.3402)  4 O 1.78-1.86
O (0.6637, 0.1224, 0.7358)  1 Mo 1.86
O (0.0997, 0.1104, 0.2690)  1 Mo 1.84
O (0.8029, 0.0086, 0.9693)  1 Mo 1.82
Mo (0.7824, 0.0442, 0.1312)  4 O 1.75-1.84
O (0.4070, 0.9379, 0.7826)  1 Mo 1.78
O (0.5730, 0.3830, 0.9216)  1 Mo 1.78
O (0.8484, 0.2126, 0.0965)  1 Mo 1.75
K (0.3907, 0.6093, 0.7500)  8 O 2.95-3.06
K (0.3426, 0.0758, 0.4279)  4 O 2.62-2.78
O (0.8896, 0.9003, 0.2310)  1 Mo 1.84
O (0.9003, 0.8896, 0.7310)  1 Mo 1.84
K (0.3823, 0.1817, 0.0626)  6 O 2.70-3.01
K (0.6093, 0.3907, 0.2500)  8 O 2.95-3.06
O (0.3363, 0.8776, 0.2642)  1 Mo 1.86
O (0.5211, 0.7893, 0.4642)  1 Mo 1.79
O (0.5930, 0.0621, 0.2174)  1 Mo 1.78
O (0.4270, 0.6170, 0.0784)  1 Mo 1.78
O (0.8776, 0.3363, 0.7642)  1 Mo 1.86
O (0.1516, 0.7874, 0.9035)  1 Mo 1.75
K (0.8183, 0.6177, 0.4374)  6 O 2.70-3.01
O (0.2126, 0.8484, 0.5965)  1 Mo 1.75
O (0.0621, 0.5930, 0.7174)  1 Mo 1.78
Mo (0.2623, 0.5306, 0.1598)  4 O 1.78-1.86
O (0.9914, 0.1971, 0.5307)  1 Mo 1.82
K (0.6177, 0.8183, 0.9374)  6 O 2.70-3.01
In (0.8850, 0.1150, 0.7500)  6 O 2.18-2.23
Mo (0.5306, 0.2623, 0.6598)  4 O 1.78-1.86
In (0.1150, 0.8850, 0.2500)  6 O 2.18-2.23
Mo (0.2176, 0.9558, 0.8688)  4 O 1.75-1.84
K (0.0758, 0.3426, 0.9279)  4 O 2.62-2.78

Results
Energy relative to the elements ... -55.9 eV/f.u.
Crystal system ... monoclinic
Energy with MP2020 corrections ... -373.53 eV for the cell shown

***

# 3
Computed, not measured: an optimized crystal structure of KInW2O6 at the PBE+U level of DFT.

Unit cell a=5.7143 b=5.7143 c=5.7143 alpha=60.00 beta=60.00 gamma=60.00
With the nearest neighbours (Å) after each atom.
Positions (direct):
W (0.7500, 0.7500, 0.7500)  6 O 2.02
O (0.5000, 0.0000, 0.5000)  2 W 2.02
O (0.0000, 0.0000, 0.5000)  2 W 2.02
O (0.5000, 0.0000, 0.0000)  2 W 2.02
In (0.5000, 0.5000, 0.5000)  12 O 2.86
O (0.0000, 0.5000, 0.5000)  2 W 2.02
O (0.5000, 0.5000, 0.0000)  2 W 2.02
K (0.0000, 0.0000, 0.0000)  12 O 2.86
W (0.2500, 0.2500, 0.2500)  6 O 2.02
O (0.0000, 0.5000, 0.0000)  2 W 2.02

Results
Energy relative to the elements ... -18.7 eV/f.u.
Crystal system ... cubic
Energy with MP2020 corrections ... -78.13 eV for the cell shown